Computed, not measured: a relaxed Nd12InPt7 crystal at the PBE level of DFT. Values from VASP.

Cell and atoms, written as Quantum ESPRESSO input:
```
&SYSTEM
  ibrav = 0, nat = 40, ntyp = 3
/
ATOMIC_SPECIES
Nd 144.24 Nd.upf
Pt 195.08 Pt.upf
In 114.82 In.upf
CELL_PARAMETERS angstrom
10.578 -3.670 1.366
0.039 8.297 7.642
-7.992 -7.820 1.488
ATOMIC_POSITIONS angstrom
Nd -0.090 1.932 7.862
Nd 1.961 2.582 4.914
Nd -4.927 -1.710 6.686
Nd 2.716 -5.125 2.634
Nd 7.552 -1.482 3.809
Nd 4.981 3.898 7.475
Nd 0.044 -0.070 3.382
Nd -1.138 -2.496 6.023
Nd 2.986 -8.411 4.199
Nd -2.554 0.858 5.772
Nd 5.179 -4.051 4.724
Nd 2.581 -3.123 7.113
Nd -2.355 -7.090 3.020
Nd -0.361 5.218 6.296
Nd 0.006 -1.430 9.279
Nd 7.603 -5.056 2.186
Nd 3.197 0.434 7.958
Nd 3.764 -0.696 4.473
Nd 6.783 0.620 7.034
Nd -4.978 1.863 8.309
Nd -4.158 -3.812 3.461
Nd -0.572 -3.627 2.538
Nd 0.664 -5.774 5.582
Nd 2.619 -1.763 1.216
Pt 2.654 1.157 2.252
Pt 5.276 -1.925 6.720
Pt 3.587 -6.267 6.276
Pt 5.471 -2.401 2.069
Pt 0.618 -7.130 2.935
Pt 5.216 -6.942 2.083
Pt 2.007 3.938 7.561
Pt 7.963 3.470 6.756
Pt -2.846 -0.791 8.427
Pt -0.962 3.075 4.220
Pt -2.590 3.749 8.412
Pt 1.110 -0.452 6.209
Pt 1.516 -2.741 4.287
Pt -2.650 -1.267 3.775
In 5.309 2.314 4.504
In 0.000 0.000 0.000
```

SG: No. 140
Energy relative to the elements in kJ/mol of atoms: -85.4